Arrangement P

DFT (GGA+U) results for a geometry-optimized Li2MnCo3O8 structure.

Results
mass density: 4.9 Mg/m³
space-group type: Cc, No. 9

Unit cell a=5.6714 b=5.6714 c=9.1625 alpha=90.14 beta=90.14 gamma=119.90
Closest atoms and distances in Å follow each position.
Fractional positions:
1 Li 0.0010 0.9990 0.5000  4 O 1.74-1.89
2 Li 0.3324 0.6670 0.6020  4 O 1.90-1.94
3 Li 0.6670 0.3324 0.1020  4 O 1.90-1.94
4 Li 0.9990 0.0010 0.0000  4 O 1.74-1.89
5 Mn 0.3278 0.6600 0.0134  6 O 1.93-2.01
6 Mn 0.6600 0.3278 0.5134  6 O 1.93-2.01
7 Co 0.1701 0.3392 0.2848  6 O 1.87-1.96
8 Co 0.1701 0.8293 0.2847  6 O 1.87-1.96
9 Co 0.3392 0.1701 0.7848  6 O 1.87-1.96
10 Co 0.6607 0.8296 0.2877  6 O 1.87-1.91
11 Co 0.8293 0.1701 0.7847  6 O 1.87-1.96
12 Co 0.8296 0.6607 0.7877  6 O 1.87-1.91
13 O 0.0380 0.5184 0.1594  1 Li 1.90, 2 Co 1.91-1.92, 1 Mn 1.96
14 O 0.1594 0.8305 0.8953  1 Li 1.89, 2 Co 1.89-1.96, 1 Mn 1.98
15 O 0.1640 0.3291 0.8991  1 Li 1.86, 1 Mn 1.93, 2 Co 1.95
16 O 0.3291 0.1640 0.3991  1 Li 1.86, 1 Mn 1.93, 2 Co 1.95
17 O 0.3335 0.6659 0.3904  3 Co 1.87, 1 Li 1.94
18 O 0.4815 0.5213 0.1610  2 Co 1.91-1.92, 1 Li 1.92, 1 Mn 1.97
19 O 0.4815 0.9583 0.1606  2 Co 1.91-1.92, 1 Li 1.92, 1 Mn 1.99
20 O 0.5184 0.0380 0.6594  1 Li 1.90, 2 Co 1.91-1.92, 1 Mn 1.96
21 O 0.5213 0.4815 0.6610  2 Co 1.91-1.92, 1 Li 1.92, 1 Mn 1.97
22 O 0.6659 0.3335 0.8904  3 Co 1.87, 1 Li 1.94
23 O 0.6696 0.8300 0.8945  1 Li 1.88, 2 Co 1.89-1.96, 1 Mn 2.01
24 O 0.8305 0.1594 0.3953  1 Li 1.89, 2 Co 1.89-1.96, 1 Mn 1.98
25 O 0.8300 0.6696 0.3945  1 Li 1.88, 2 Co 1.89-1.96, 1 Mn 2.01
26 O 0.9583 0.4815 0.6606  2 Co 1.91-1.92, 1 Li 1.92, 1 Mn 1.99
27 O 0.9974 0.9977 0.1902  1 Li 1.74, 3 Co 1.88-1.89
28 O 0.9977 0.9974 0.6902  1 Li 1.74, 3 Co 1.88-1.89

---

Arrangement Q

DFT (GGA+U) results for a geometry-optimized Li2MnCo3O8 structure.

Results
mass density: 4.3 Mg/m³
space-group type: P1, No. 1

Unit cell a=5.9384 b=5.9929 c=8.1166 alpha=92.57 beta=90.02 gamma=90.05
Closest atoms and distances in Å follow each position.
Fractional positions:
1 Li 0.0000 0.0000 0.0000  6 O 2.14-2.31
2 Li 0.0012 0.5024 0.5011  6 O 2.14-2.18
3 Li 0.5090 0.0002 0.0006  6 O 2.14-2.18
4 Li 0.5110 0.5022 0.5011  6 O 2.14-2.31
5 Mn 0.9997 0.0015 0.5005  6 O 1.94-1.96
6 Mn 0.5125 0.5009 0.0006  6 O 1.94-1.97
7 Co 0.0074 0.5005 0.0011  6 O 1.92-2.09
8 Co 0.2548 0.2506 0.7507  6 O 1.94-2.04
9 Co 0.2546 0.7522 0.2507  6 O 1.93-2.05
10 Co 0.5040 0.0020 0.5003  6 O 1.92-2.09
11 Co 0.7549 0.2509 0.7507  6 O 1.88-1.90
12 Co 0.7550 0.7515 0.2507  6 O 1.87-1.90
13 O 0.2388 0.2266 0.5110  2 Co 1.95-2.07, 1 Mn 1.96, 1 Li 2.18
14 O 0.2388 0.7760 0.4882  2 Co 1.93-2.08, 1 Mn 1.96
15 O 0.2715 0.2759 0.9901  2 Co 1.94-2.07, 1 Mn 1.97, 1 Li 2.18
16 O 0.2713 0.7269 0.0135  2 Co 1.93-2.07, 1 Mn 1.97
17 O 0.5206 0.4673 0.7624  2 Co 1.90-2.04, 1 Mn 1.94
18 O 0.5223 0.0372 0.7359  3 Co 1.88-2.04
19 O 0.5223 0.5364 0.2397  2 Co 1.89-2.05, 1 Mn 1.94
20 O 0.5236 0.9648 0.2652  3 Co 1.88-2.04
21 O 0.7427 0.2694 0.9836  2 Co 1.89-2.09, 1 Mn 1.95
22 O 0.7432 0.7306 0.0164  2 Co 1.90-2.09, 1 Mn 1.94
23 O 0.7674 0.7731 0.4853  2 Co 1.90-2.08, 1 Mn 1.94
24 O 0.7680 0.2314 0.5179  2 Co 1.89-2.09, 1 Mn 1.95
25 O 0.9874 0.4646 0.7654  3 Co 1.88-2.04
26 O 0.9865 0.5390 0.2368  3 Co 1.87-2.04
27 O 0.9882 0.9671 0.2611  2 Co 1.89-2.04, 1 Mn 1.95
28 O 0.9897 0.0354 0.7390  2 Co 1.90-2.03, 1 Mn 1.94

---

Arrangement R

DFT (GGA+U) results for a geometry-optimized Li2MnCo3O8 structure.

Results
mass density: 4.4 Mg/m³
space-group type: P-1, No. 2

Unit cell a=5.7353 b=5.7490 c=10.2871 alpha=75.25 beta=75.39 gamma=61.29
Closest atoms and distances in Å follow each position.
Fractional positions:
1 Li 0.2426 0.2541 0.2490  6 O 2.11-2.15
2 Li 0.2445 0.2572 0.7519  6 O 2.12-2.28
3 Li 0.7555 0.7428 0.2481  6 O 2.12-2.28
4 Li 0.7574 0.7459 0.7510  6 O 2.11-2.15
5 Mn 0.0000 0.0000 0.5000  6 O 1.95
6 Mn 0.5000 0.5000 0.0000  6 O 1.94-1.96
7 Co 0.0000 0.0000 0.0000  6 O 1.93-2.08
8 Co 0.0000 0.5000 0.0000  6 O 1.91-1.93
9 Co 0.0000 0.5000 0.5000  6 O 1.88-1.94
10 Co 0.5000 0.0000 0.0000  6 O 1.88-2.00
11 Co 0.5000 0.0000 0.5000  6 O 1.88-1.94
12 Co 0.5000 0.5000 0.5000  6 O 2.02-2.09
13 O 0.1105 0.6401 0.6058  2 Co 1.88-2.08, 1 Mn 1.95
14 O 0.1276 0.1454 0.1013  3 Co 1.91-1.99, 1 Li 2.13
15 O 0.1388 0.1385 0.6018  2 Co 1.94, 1 Mn 1.95, 1 Li 2.15
16 O 0.1427 0.6185 0.1070  2 Co 1.93-2.05, 1 Mn 1.94, 1 Li 2.14
17 O 0.3507 0.3509 0.4021  3 Co 1.89-2.02, 1 Li 2.11
18 O 0.3546 0.3735 0.8976  2 Co 1.91-2.00, 1 Mn 1.94, 1 Li 2.12
19 O 0.3588 0.8911 0.3940  2 Co 1.88-2.09, 1 Mn 1.95
20 O 0.3894 0.8607 0.8930  2 Co 1.88-2.08, 1 Mn 1.96
21 O 0.6106 0.1393 0.1070  2 Co 1.88-2.08, 1 Mn 1.96
22 O 0.6412 0.1089 0.6060  2 Co 1.88-2.09, 1 Mn 1.95
23 O 0.6454 0.6265 0.1024  2 Co 1.91-2.00, 1 Mn 1.94, 1 Li 2.12
24 O 0.6493 0.6491 0.5979  3 Co 1.89-2.02, 1 Li 2.11
25 O 0.8573 0.3815 0.8930  2 Co 1.93-2.05, 1 Mn 1.94, 1 Li 2.14
26 O 0.8612 0.8615 0.3982  2 Co 1.94, 1 Mn 1.95, 1 Li 2.15
27 O 0.8724 0.8546 0.8987  3 Co 1.91-1.99, 1 Li 2.13
28 O 0.8895 0.3599 0.3942  2 Co 1.88-2.08, 1 Mn 1.95

---

Ordering by calculated energy gives the sequence arrangement P, arrangement Q, arrangement R, with the first entry being the most stable.

---

Arrangement P

DFT (GGA+U) results for a geometry-optimized MgV4O10 structure.

Results
mass density: 4.1 Mg/m³
space-group type: P1, No. 1

Unit cell a=4.9161 b=5.3914 c=6.6203 alpha=101.27 beta=111.67 gamma=91.65
Closest atoms and distances in Å follow each position.
Fractional positions:
1 Mg 0.0000 0.0000 0.0000  5 O 1.97-2.14
2 V 0.1239 0.6140 0.2416  1 O 1.75
3 V 0.3195 0.0882 0.6572  2 O 1.66-1.83
4 V 0.6207 0.1263 0.2455  2 O 1.76-1.96
5 V 0.7943 0.5721 0.6422  4 O 1.78-1.98
6 O 0.0420 0.8599 0.7083  2 V 1.82-1.97, 1 Mg 2.02
7 O 0.1634 0.3472 0.7149  1 V 1.66
8 O 0.2547 0.3278 0.1608  1 V 1.75
9 O 0.3821 0.8434 0.1648  1 V 1.76
10 O 0.4513 0.7049 0.5425  2 V 1.80-2.00
11 O 0.5877 0.2172 0.5487  3 V 1.89-2.04
12 O 0.5991 0.0993 0.9345  2 V 1.83-2.00, 1 Mg 1.97
13 O 0.8386 0.4675 0.3532  3 V 1.96-2.02
14 O 0.8429 0.6065 0.9274  1 V 1.78
15 O 0.9993 0.9674 0.3291  3 V 2.01-2.12, 1 Mg 2.22

---

Arrangement Q

DFT (GGA+U) results for a geometry-optimized MgV4O10 structure.

Results
mass density: 3.5 Mg/m³
space-group type: Pm, No. 6

Unit cell a=6.6051 b=3.7265 c=7.3769 alpha=90.00 beta=90.33 gamma=90.00
Closest atoms and distances in Å follow each position.
Fractional positions:
1 Mg 0.0000 0.0000 0.0000  4 O 2.07-2.18
2 V 0.2142 0.5000 0.6538  2 O 1.69-1.81
3 V 0.2927 0.0000 0.3175  1 O 1.67
4 V 0.7309 0.5000 0.8100  1 O 1.67
5 V 0.8243 0.0000 0.4744  2 O 1.68-1.75
6 O 0.0560 0.5000 0.8542  1 V 1.81
7 O 0.1684 0.0000 0.6005  2 V 1.93
8 O 0.2780 0.5000 0.4001  3 V 1.92-1.96
9 O 0.2964 0.0000 0.0915  1 V 1.67
10 O 0.4491 0.5000 0.7472  1 V 1.69
11 O 0.5868 0.0000 0.3921  1 V 1.68
12 O 0.7434 0.5000 0.0361  1 V 1.67
13 O 0.7760 0.0000 0.7485  3 V 1.94-2.05
14 O 0.8619 0.5000 0.5384  2 V 1.94
15 O 0.9778 0.0000 0.2815  1 V 1.75

---

Ordering by calculated energy gives the sequence arrangement Q, arrangement P, with the first entry being the most stable.

---

Arrangement P

DFT (GGA+U) results for a geometry-optimized MgV4O10 structure.

Results
mass density: 3.4 Mg/m³
space-group type: Pm, No. 6

Unit cell a=6.6181 b=3.6676 c=7.9023 alpha=90.00 beta=91.53 gamma=90.00
Closest atoms and distances in Å follow each position.
Fractional positions:
1 Mg 0.0000 0.0000 0.0000  2 O 1.95-2.14
2 V 0.3113 0.5000 0.8965  2 O 1.68-1.69
3 V 0.3309 0.0000 0.5549  2 O 1.69
4 V 0.7138 0.5000 0.7208  4 O 1.74-1.92
5 V 0.7858 0.0000 0.4058  1 O 1.68
6 O 0.0864 0.0000 0.4875  1 V 1.69
7 O 0.1906 0.5000 0.0828  1 V 1.69
8 O 0.2523 0.0000 0.8363  2 V 1.93, 1 Mg 2.14
9 O 0.3668 0.5000 0.6349  3 V 1.95-2.11
10 O 0.4711 0.0000 0.3786  1 V 1.69
11 O 0.5603 0.5000 0.9418  1 V 1.68
12 O 0.6508 0.0000 0.6711  2 V 1.92
13 O 0.7819 0.5000 0.4866  3 V 1.92-1.94
14 O 0.8306 0.0000 0.1981  1 V 1.68
15 O 0.9335 0.5000 0.8464  1 V 1.74

---

Arrangement Q

DFT (GGA+U) results for a geometry-optimized MgV4O10 structure.

Results
mass density: 3.0 Mg/m³
space-group type: Pm, No. 6

Unit cell a=5.3923 b=3.2352 c=12.1388 alpha=90.00 beta=91.08 gamma=90.00
Closest atoms and distances in Å follow each position.
Fractional positions:
1 Mg 0.0000 0.0000 0.0000  5 O 2.03-2.20
2 V 0.9999 0.0000 0.2648  4 O 1.70-1.82
3 V 0.1609 0.0000 0.7209  3 O 1.68-1.82
4 V 0.5103 0.0000 0.9899  2 O 1.71-1.80
5 V 0.6563 0.0000 0.5179  3 O 1.69-1.81
6 O 0.0286 0.5000 0.7539  2 V 1.82
7 O 0.1531 0.5000 0.2797  2 V 1.82
8 O 0.2768 0.0000 0.8825  1 V 1.80
9 O 0.3117 0.0000 0.0976  1 V 1.71
10 O 0.4341 0.0000 0.6559  1 V 1.68
11 O 0.5195 0.5000 0.4894  2 V 1.81
12 O 0.7304 0.5000 0.9698  2 V 2.02, 2 Mg 2.20
13 O 0.7980 0.0000 0.3709  1 V 1.70
14 O 0.8250 0.0000 0.1469  1 V 1.70
15 O 0.9292 0.0000 0.5892  1 V 1.69

---

Arrangement R

DFT (GGA+U) results for a geometry-optimized MgV4O10 structure.

Results
mass density: 3.3 Mg/m³
space-group type: P-1, No. 2

Unit cell a=5.0676 b=5.3685 c=7.8594 alpha=102.05 beta=107.68 gamma=100.21
Closest atoms and distances in Å follow each position.
Fractional positions:
1 Mg 0.0000 0.0000 0.0000  6 O 2.05-2.18
2 V 0.1610 0.5941 0.2054  2 O 1.77-1.91
3 V 0.3346 0.7755 0.6840  4 O 1.71-1.79
4 V 0.6654 0.2245 0.3160  4 O 1.71-1.79
5 V 0.8390 0.4059 0.7946  2 O 1.77-1.91
6 O 0.0570 0.7475 0.7804  1 V 1.79
7 O 0.1416 0.3513 0.9527  1 V 1.77
8 O 0.1926 0.7706 0.4518  2 V 1.74-1.91
9 O 0.3878 0.9406 0.1852  1 V 1.75
10 O 0.4790 0.5126 0.6988  1 V 1.71
11 O 0.5210 0.4874 0.3012  1 V 1.71
12 O 0.6122 0.0594 0.8148  1 V 1.75
13 O 0.8074 0.2294 0.5482  2 V 1.74-1.91
14 O 0.8584 0.6487 0.0473  1 V 1.77
15 O 0.9430 0.2525 0.2196  1 V 1.79

---

Ordering by calculated energy gives the sequence arrangement R, arrangement P, arrangement Q, with the first entry being the most stable.

---

Arrangement P

DFT (GGA+U) results for a geometry-optimized MgCrSbO4 structure.

Results
mass density: 5.0 Mg/m³
space-group type: Imm2, No. 44

Unit cell a=5.4279 b=5.4279 c=5.4279 alpha=132.92 beta=130.58 gamma=70.65
Closest atoms and distances in Å follow each position.
Fractional positions:
1 Mg 0.0000 0.0000 0.0000  6 O 2.08-2.28
2 Cr 0.7455 0.2455 0.5000  4 O 1.99-2.17
3 Sb 0.4788 0.4788 0.0000  5 O 2.13-2.27
4 O 0.2388 0.2388 0.0000  1 Mg 2.12, 1 Sb 2.13, 2 Cr 2.27
5 O 0.5204 0.0204 0.5000  1 Cr 1.99, 2 Sb 2.20
6 O 0.7652 0.7652 0.0000  1 Mg 2.08, 2 Cr 2.17
7 O 0.9721 0.4721 0.5000  1 Cr 2.01, 2 Mg 2.18

---

Arrangement Q

DFT (GGA+U) results for a geometry-optimized MgCrSbO4 structure.

Results
mass density: 4.9 Mg/m³
space-group type: P2/m, No. 10

Unit cell a=5.2380 b=3.1449 c=5.6429 alpha=90.00 beta=105.43 gamma=90.00
Closest atoms and distances in Å follow each position.
Fractional positions:
1 Mg 0.0000 0.0000 0.0000  6 O 2.10-2.18
2 Cr 0.5000 0.5000 0.0000  6 O 2.03-2.05
3 Sb 0.5000 0.0000 0.5000  6 O 2.28-2.39
4 O 0.2447 0.5000 0.2144  1 Cr 2.03, 2 Mg 2.18
5 O 0.2926 0.0000 0.8077  2 Cr 2.05, 1 Mg 2.10, 1 Sb 2.28
6 O 0.7074 0.0000 0.1923  2 Cr 2.05, 1 Mg 2.10, 1 Sb 2.28
7 O 0.7553 0.5000 0.7856  1 Cr 2.03, 2 Mg 2.18

---

Ordering by calculated energy gives the sequence arrangement Q, arrangement P, with the first entry being the most stable.

---

Arrangement P

DFT (GGA+U) results for a geometry-optimized MgTiV2CrO10 structure.

Results
mass density: 2.7 Mg/m³
space-group type: Pm, No. 6

Unit cell a=5.4539 b=6.5663 c=6.6766 alpha=90.00 beta=91.78 gamma=90.00
Closest atoms and distances in Å follow each position.
Fractional positions:
1 Mg 0.0000 0.0000 0.0000  4 O 1.93-2.05
2 Ti 0.5654 0.0000 0.1896  4 O 1.79-1.88
3 V 0.5018 0.0000 0.6948  2 O 1.68-1.88
4 V 0.7050 0.5000 0.1630  1 O 1.63
5 Cr 0.6107 0.5000 0.6748  4 O 1.67
6 O 0.3496 0.0000 0.9636  1 Ti 1.88, 1 Mg 1.93, 1 V 2.00
7 O 0.4065 0.5000 0.1502  1 V 1.63
8 O 0.4088 0.0000 0.4211  1 Ti 1.79, 1 V 1.88
9 O 0.4292 0.2965 0.6872  1 Cr 1.67
10 O 0.4292 0.7035 0.6872  1 Cr 1.67
11 O 0.7665 0.5000 0.4637  1 Cr 1.67
12 O 0.7926 0.2040 0.1549  1 Ti 1.84, 1 V 2.00, 1 Mg 2.05
13 O 0.7926 0.7960 0.1549  1 Ti 1.84, 1 V 2.00, 1 Mg 2.05
14 O 0.8069 0.0000 0.7407  1 V 1.68
15 O 0.8079 0.5000 0.8717  1 Cr 1.67

---

Arrangement Q

DFT (GGA+U) results for a geometry-optimized MgTiV2CrO10 structure.

Results
mass density: 3.0 Mg/m³
space-group type: P1, No. 1

Unit cell a=4.9383 b=6.6098 c=6.6147 alpha=91.46 beta=94.23 gamma=94.10
Closest atoms and distances in Å follow each position.
Fractional positions:
1 Mg 0.0000 0.0000 0.0000  6 O 2.07-2.16
2 Ti 0.4990 0.2531 0.7469  4 O 1.81-1.85
3 V 0.3901 0.7600 0.7471  3 O 1.66-1.83
4 V 0.6098 0.2527 0.2400  3 O 1.66-1.83
5 Cr 0.5009 0.7566 0.2433  4 O 1.78-1.80
6 O 0.2546 0.0297 0.7645  1 Ti 1.85, 1 V 1.95
7 O 0.2567 0.7669 0.0320  1 Cr 1.78
8 O 0.2772 0.2021 0.1928  1 V 1.66
9 O 0.3246 0.4852 0.7594  1 Ti 1.82, 1 V 1.83
10 O 0.3313 0.7623 0.4751  1 V 1.80, 1 Cr 1.80
11 O 0.6713 0.5247 0.2378  1 Cr 1.80, 1 V 1.80
12 O 0.6726 0.2406 0.5150  1 Ti 1.81, 1 V 1.83
13 O 0.7227 0.8061 0.7990  1 V 1.66
14 O 0.7442 0.2353 0.9699  1 Ti 1.85, 1 V 1.95
15 O 0.7445 0.9686 0.2334  1 Cr 1.79

---

Ordering by calculated energy gives the sequence arrangement Q, arrangement P, with the first entry being the most stable.